! PBE Na14Zr4Ti4Si11SO48, optimized geometry; values from VASP
! Raw total energy ... -7.327 eV per atom
! Volume ... 13.16 Å³ per atom
! Calculated formation energy ... -3.026 eV per atom
! Energy with MP2020 corrections ... -7.73 eV per atom
&SYSTEM
  ibrav = 0, nat = 246, ntyp = 6
/
ATOMIC_SPECIES
O 16.00 O.upf
Na 22.99 Na.upf
Si 28.09 Si.upf
Ti 47.87 Ti.upf
S 32.06 S.upf
Zr 91.22 Zr.upf
ATOMIC_POSITIONS crystal
O 0.071 0.509 0.861
O 0.180 0.506 0.078
O 0.982 0.179 0.307
O 0.764 0.697 0.975
O 0.392 0.961 0.693
O 0.405 0.975 0.411
O 0.315 0.133 0.142
O 0.737 0.170 0.525
O 0.848 0.169 0.025
O 0.752 0.135 0.641
O 0.095 0.165 0.090
O 0.095 0.975 0.197
O 0.913 0.519 0.741
O 0.411 0.034 0.808
O 0.749 0.634 0.859
O 0.684 0.864 0.860
O 0.258 0.696 0.258
O 0.150 0.830 0.976
O 0.083 0.975 0.911
O 0.248 0.644 0.580
O 0.684 0.503 0.362
O 0.902 0.973 0.413
O 0.915 0.529 0.024
O 0.893 0.821 0.193
O 0.894 0.964 0.693
O 0.351 0.543 0.526
O 0.816 0.498 0.641
O 0.902 0.832 0.913
O 0.682 0.505 0.076
O 0.344 0.170 0.747
O 0.519 0.822 0.693
O 0.410 0.304 0.241
O 0.492 0.815 0.091
O 0.987 0.165 0.589
O 0.734 0.152 0.244
O 0.016 0.196 0.912
O 0.263 0.695 0.974
O 0.916 0.804 0.587
O 0.575 0.639 0.078
O 0.652 0.830 0.975
O 0.983 0.789 0.807
O 0.587 0.687 0.758
O 0.916 0.027 0.087
O 0.085 0.490 0.259
O 0.926 0.493 0.422
O 0.272 0.841 0.474
O 0.737 0.304 0.024
O 0.078 0.703 0.475
O 0.071 0.633 0.361
O 0.086 0.682 0.759
O 0.318 0.498 0.920
O 0.432 0.501 0.420
O 0.608 0.025 0.303
O 0.083 0.184 0.409
O 0.320 0.143 0.418
O 0.595 0.975 0.197
O 0.747 0.856 0.076
O 0.491 0.166 0.587
O 0.414 0.518 0.747
O 0.598 0.166 0.088
O 0.838 0.168 0.742
O 0.748 0.865 0.358
O 0.182 0.862 0.861
O 0.658 0.487 0.758
O 0.157 0.848 0.255
O 0.574 0.637 0.360
O 0.012 0.835 0.409
O 0.928 0.364 0.639
O 0.819 0.144 0.424
O 0.442 0.374 0.640
O 0.597 0.027 0.587
O 0.758 0.829 0.758
O 0.482 0.789 0.809
O 0.758 0.696 0.258
O 0.584 0.192 0.411
O 0.651 0.471 0.475
O 0.933 0.497 0.138
O 0.419 0.815 0.588
O 0.754 0.144 0.924
O 0.246 0.852 0.077
O 0.748 0.639 0.576
O 0.156 0.465 0.756
O 0.910 0.304 0.241
O 0.177 0.852 0.580
O 0.433 0.498 0.138
O 0.147 0.451 0.475
O 0.247 0.634 0.858
O 0.106 0.189 0.804
O 0.252 0.140 0.920
O 0.416 0.021 0.089
O 0.315 0.507 0.642
O 0.849 0.527 0.525
O 0.017 0.820 0.692
O 0.072 0.637 0.076
O 0.911 0.033 0.808
O 0.585 0.475 0.975
O 0.483 0.178 0.307
O 0.908 0.783 0.307
O 0.255 0.367 0.139
O 0.607 0.177 0.808
O 0.916 0.301 0.525
O 0.248 0.128 0.639
O 0.095 0.214 0.697
O 0.421 0.547 0.025
O 0.107 0.025 0.303
O 0.577 0.510 0.576
O 0.516 0.195 0.914
O 0.585 0.697 0.475
O 0.085 0.473 0.976
O 0.016 0.214 0.192
O 0.233 0.152 0.245
O 0.183 0.503 0.361
O 0.657 0.848 0.255
O 0.819 0.494 0.924
O 0.248 0.862 0.357
O 0.409 0.785 0.308
O 0.227 0.297 0.025
O 0.351 0.158 0.026
O 0.233 0.315 0.746
O 0.517 0.216 0.192
O 0.929 0.362 0.924
O 0.517 0.839 0.412
O 0.421 0.298 0.525
O 0.743 0.316 0.743
O 0.754 0.363 0.424
O 0.764 0.831 0.475
O 0.989 0.809 0.089
O 0.227 0.157 0.524
O 0.682 0.857 0.576
O 0.584 0.973 0.914
O 0.093 0.027 0.588
O 0.755 0.367 0.139
O 0.394 0.822 0.193
O 0.571 0.504 0.859
O 0.069 0.501 0.580
O 0.341 0.510 0.241
O 0.840 0.509 0.241
O 0.257 0.815 0.759
O 0.586 0.491 0.259
O 0.253 0.361 0.418
O 0.403 0.836 0.914
O 0.431 0.364 0.920
O 0.815 0.135 0.142
O 0.588 0.217 0.693
Na 0.519 0.337 0.083
Na 0.484 0.303 0.416
Na 0.669 0.037 0.419
Na 0.849 0.662 0.417
Na 0.000 0.000 0.500
Na 0.350 0.666 0.416
Na 0.483 0.668 0.916
Na 0.331 0.698 0.083
Na 0.981 0.301 0.417
Na 0.685 0.003 0.749
Na 0.351 0.034 0.917
Na 0.334 0.329 0.834
Na 0.981 0.660 0.917
Na 0.150 0.335 0.581
Na 0.652 0.966 0.082
Na 0.818 0.000 0.250
Na 0.001 0.002 0.001
Na 0.849 0.038 0.917
Na 0.519 0.702 0.582
Na 0.319 0.641 0.751
Na 0.831 0.698 0.083
Na 0.836 0.343 0.332
Na 0.817 0.632 0.749
Na 0.669 0.299 0.917
Na 0.167 0.304 0.918
Na 0.015 0.695 0.583
Na 0.319 0.000 0.250
Na 0.667 0.667 0.667
Na 0.830 0.964 0.583
Na 0.151 0.965 0.082
Na 0.334 0.968 0.583
Na 0.651 0.336 0.583
Na 0.165 0.657 0.168
Na 0.018 0.338 0.083
Na 0.837 0.334 0.831
Na 0.665 0.657 0.168
Na 0.500 0.000 0.501
Na 0.337 0.343 0.330
Na 0.166 0.030 0.417
Na 0.164 0.673 0.669
Na 0.500 0.000 0.000
Na 0.502 0.366 0.751
Si 0.979 0.622 0.081
Si 0.501 0.703 0.752
Si 0.692 0.046 0.583
Si 0.333 0.628 0.584
Si 0.483 0.628 0.083
Si 0.485 0.338 0.581
Si 0.830 0.046 0.084
Si 0.310 0.954 0.413
Si 0.975 0.333 0.584
Si 0.651 0.302 0.750
Si 0.023 0.383 0.917
Si 0.525 0.384 0.917
Si 0.185 0.038 0.583
Si 0.830 0.614 0.583
Si 0.330 0.041 0.085
Si 0.807 0.954 0.416
Si 0.000 0.305 0.250
Si 0.166 0.953 0.918
Si 0.500 0.306 0.250
Si 0.847 0.693 0.250
Si 0.002 0.698 0.750
Si 0.348 0.695 0.250
Si 0.669 0.955 0.918
Si 0.669 0.379 0.419
Si 0.166 0.372 0.416
Si 0.526 0.669 0.416
Si 0.808 0.660 0.918
Si 0.347 0.993 0.752
Si 0.189 0.336 0.085
Si 0.308 0.666 0.915
Si 0.692 0.337 0.083
Si 0.850 0.004 0.750
Si 0.020 0.663 0.415
Ti 0.833 0.332 0.482
Ti 0.167 0.664 0.018
Ti 0.841 0.353 0.183
Ti 0.833 0.331 0.983
Ti 0.667 0.668 0.018
Ti 0.163 0.679 0.817
Ti 0.837 0.335 0.686
Ti 0.164 0.648 0.316
Ti 0.668 0.670 0.517
Ti 0.666 0.647 0.317
Ti 0.668 0.669 0.815
Ti 0.341 0.353 0.183
S 0.649 0.000 0.250
S 0.148 0.000 0.250
S 0.146 0.297 0.751
Zr 0.992 0.994 0.351
Zr 0.495 0.997 0.351
Zr 0.166 0.666 0.518
Zr 0.334 0.334 0.480
Zr 0.995 0.004 0.148
Zr 0.993 0.990 0.853
Zr 0.501 0.001 0.650
Zr 0.501 0.002 0.852
Zr 0.336 0.329 0.684
Zr 0.333 0.334 0.982
Zr 0.497 0.005 0.149
Zr 0.994 0.985 0.648
CELL_PARAMETERS angstrom
18.180 -0.011 0.003
-4.550 7.885 -0.007
0.003 -0.019 22.589

=====

! PBE Na2Zr2Ti2Si3S3O24, optimized geometry; values from VASP
! Raw total energy ... -7.456 eV per atom
! Volume ... 14.49 Å³ per atom
! Calculated formation energy ... -2.831 eV per atom
! Energy with MP2020 corrections ... -7.91 eV per atom
&SYSTEM
  ibrav = 0, nat = 108, ntyp = 6
/
ATOMIC_SPECIES
Ti 47.87 Ti.upf
Si 28.09 Si.upf
S 32.06 S.upf
O 16.00 O.upf
Zr 91.22 Zr.upf
Na 22.99 Na.upf
ATOMIC_POSITIONS crystal
Ti 0.687 0.336 0.194
Ti 0.008 0.007 0.352
Ti 0.017 0.018 0.853
Ti 0.658 0.334 0.979
Ti 0.313 0.675 0.021
Ti 0.352 0.684 0.813
Si 0.045 0.682 0.415
Si 0.663 0.628 0.585
Si 0.641 0.964 0.413
Si 0.942 0.610 0.081
Si 0.717 0.004 0.756
Si 0.298 0.014 0.248
Si 0.330 0.957 0.917
Si 0.286 0.300 0.753
Si 0.006 0.285 0.248
S 0.043 0.380 0.918
S 0.327 0.370 0.415
S 0.374 0.041 0.585
S 0.656 0.043 0.080
S 0.384 0.343 0.080
S 0.716 0.706 0.249
S 0.959 0.336 0.585
S 0.618 0.665 0.919
S 0.011 0.717 0.755
O 0.123 0.484 0.866
O 0.964 0.803 0.081
O 0.702 0.178 0.751
O 0.974 0.163 0.305
O 0.813 0.026 0.082
O 0.503 0.149 0.927
O 0.840 0.820 0.588
O 0.155 0.973 0.909
O 0.460 0.140 0.532
O 0.653 0.516 0.643
O 0.847 0.514 0.420
O 0.180 0.978 0.189
O 0.864 0.356 0.925
O 0.026 0.203 0.915
O 0.484 0.361 0.132
O 0.986 0.802 0.806
O 0.202 0.027 0.590
O 0.703 0.532 0.243
O 0.302 0.831 0.975
O 0.869 0.345 0.638
O 0.480 0.320 0.751
O 0.359 0.856 0.862
O 0.854 0.541 0.750
O 0.634 0.503 0.924
O 0.555 0.845 0.472
O 0.191 0.172 0.811
O 0.528 0.683 0.970
O 0.539 0.680 0.253
O 0.354 0.476 0.363
O 0.034 0.817 0.701
O 0.467 0.316 0.026
O 0.479 0.126 0.638
O 0.207 0.185 0.081
O 0.518 0.862 0.358
O 0.794 0.809 0.195
O 0.514 0.637 0.865
O 0.670 0.149 0.028
O 0.833 0.988 0.405
O 0.824 0.503 0.024
O 0.649 0.150 0.422
O 0.675 0.525 0.528
O 0.354 0.865 0.583
O 0.521 0.831 0.765
O 0.631 0.119 0.134
O 0.151 0.463 0.971
O 0.499 0.864 0.074
O 0.794 0.818 0.915
O 0.301 0.488 0.766
O 0.789 0.963 0.697
O 0.837 0.014 0.812
O 0.821 0.789 0.301
O 0.129 0.640 0.359
O 0.140 0.630 0.072
O 0.310 0.456 0.468
O 0.178 0.474 0.252
O 0.166 0.697 0.761
O 0.488 0.645 0.582
O 0.488 0.192 0.237
O 0.157 0.698 0.474
O 0.852 0.494 0.139
O 0.855 0.314 0.532
O 0.175 0.210 0.695
O 0.830 0.308 0.242
O 0.980 0.179 0.587
O 0.199 0.033 0.305
O 0.369 0.501 0.072
O 0.008 0.188 0.189
O 0.168 0.199 0.412
O 0.033 0.856 0.406
O 0.330 0.849 0.251
O 0.478 0.343 0.421
O 0.131 0.494 0.581
Zr 0.006 0.996 0.144
Zr 0.325 0.678 0.311
Zr 0.678 0.347 0.476
Zr 0.988 0.999 0.649
Zr 0.656 0.336 0.693
Zr 0.350 0.681 0.515
Na 0.316 0.660 0.173
Na 0.001 0.984 0.997
Na 0.655 0.316 0.835
Na 0.974 0.969 0.491
Na 0.676 0.320 0.334
Na 0.350 0.657 0.667
CELL_PARAMETERS angstrom
-3.978 -7.483 2.648
6.870 -0.373 -5.589
14.405 -1.249 17.839

=====

What is the raw total energy in the second record?
-7.456 eV per atom

=====

Which value of calculated formation energy does entry 2 give?
-2.831 eV per atom

=====

Which of these has the highest volume?
Na2Zr2Ti2Si3S3O24

=====

Among the records above, which one has the highest raw total energy?
Na14Zr4Ti4Si11SO48